Entry 1:
# GaCu3

GaCu3 after structural relaxation (PBE, the Materials Project database).

Cell: 4.6137 4.6137 4.6137 Å, 133.85 133.85 67.33°
Element x y z (fractional)
1 Ga 0.0000 0.0000 0.0000
2 Cu 0.2500 0.7500 0.5000
3 Cu 0.5000 0.5000 0.0000
4 Cu 0.7500 0.2500 0.5000

Output
Total DFT energy (no corrections), eV/atom: -3.92
Mass density, g/cm³: 8.6
Space group: I4/mmm

=====

Entry 2:
# GaCu3

GaCu3 after structural relaxation (PBE, the Materials Project database).

Cell: 3.6864 3.6864 3.6864 Å, 90.00 90.00 90.00°
Element x y z (fractional)
1 Ga 0.0000 0.0000 0.0000
2 Cu 0.0000 0.5000 0.5000
3 Cu 0.5000 0.0000 0.5000
4 Cu 0.5000 0.5000 0.0000

Output
Total DFT energy (no corrections), eV/atom: -3.93
Mass density, g/cm³: 8.6
Space group: Pm-3m

=====

Entry 3:
# GaCu3

GaCu3 after structural relaxation (PBE, the Materials Project database).

Cell: 5.2217 5.2217 4.2315 Å, 90.00 90.00 120.00°
Element x y z (fractional)
1 Ga 0.3333 0.6667 0.2500
2 Ga 0.6667 0.3333 0.7500
3 Cu 0.1654 0.3307 0.7500
4 Cu 0.1654 0.8346 0.7500
5 Cu 0.3307 0.1654 0.2500
6 Cu 0.6693 0.8346 0.7500
7 Cu 0.8346 0.1654 0.2500
8 Cu 0.8346 0.6693 0.2500

Output
Total DFT energy (no corrections), eV/atom: -3.92
Mass density, g/cm³: 8.7
Space group: P6_3/mmc

=====

Entry 4:
# Ga2Cu

Ga2Cu after structural relaxation (PBE, the Materials Project database).

Cell: 2.8395 2.8395 5.8970 Å, 90.00 90.00 90.00°
Element x y z (fractional)
1 Ga 0.0000 0.0000 0.2156
2 Ga 0.0000 0.0000 0.7844
3 Cu 0.5000 0.5000 0.5000

Output
Total DFT energy (no corrections), eV/atom: -3.47
Mass density, g/cm³: 7.1
Space group: P4/mmm

=====

Entry 5:
# GaCu2

GaCu2 after structural relaxation (PBE, the Materials Project database).

Cell: 4.9404 4.9404 4.9404 Å, 130.02 116.81 84.61°
Element x y z (fractional)
1 Ga 0.2560 0.0060 0.2500
2 Ga 0.7440 0.9940 0.7500
3 Cu 0.1626 0.6658 0.4968
4 Cu 0.3310 0.3342 0.9968
5 Cu 0.6690 0.6658 0.0032
6 Cu 0.8374 0.3342 0.5032

Output
Total DFT energy (no corrections), eV/atom: -3.72
Mass density, g/cm³: 8.3
Space group: Imma

=====

Entry 6:
# GaCu2

GaCu2 after structural relaxation (PBE, the Materials Project database).

Cell: 4.2080 4.2080 2.5885 Å, 90.00 90.00 120.53°
Element x y z (fractional)
1 Ga 0.0000 0.0000 0.0000
2 Cu 0.3342 0.6658 0.5000
3 Cu 0.6658 0.3342 0.5000

Output
Total DFT energy (no corrections), eV/atom: -3.72
Mass density, g/cm³: 8.3
Space group: Cmmm

=====

Entry 7:
# Ho3Ga4Cu2

Ho3Ga4Cu2 after structural relaxation (PBE, the Materials Project database).

Cell: 4.3196 4.3196 21.9891 Å, 90.00 90.00 120.00°
Element x y z (fractional)
1 Ho 0.0000 0.0000 0.0000
2 Ho 0.0000 0.0000 0.1563
3 Ho 0.0000 0.0000 0.3329
4 Ho 0.0000 0.0000 0.4889
5 Ho 0.0000 0.0000 0.6656
6 Ho 0.0000 0.0000 0.8222
7 Ga 0.3333 0.6667 0.0832
8 Ga 0.3333 0.6667 0.2310
9 Ga 0.3333 0.6667 0.4162
10 Ga 0.3333 0.6667 0.5635
11 Ga 0.3333 0.6667 0.8982
12 Ga 0.6667 0.3333 0.2568
13 Ga 0.6667 0.3333 0.5890
14 Ga 0.6667 0.3333 0.9243
15 Cu 0.3333 0.6667 0.7508
16 Cu 0.6667 0.3333 0.0686
17 Cu 0.6667 0.3333 0.4009
18 Cu 0.6667 0.3333 0.7360

Output
Total DFT energy (no corrections), eV/atom: -4.32
Mass density, g/cm³: 8.4
Space group: P3m1

=====

Entry 8:
# Sr2HoGaCu2O7

Sr2HoGaCu2O7 after structural relaxation (PBE, the Materials Project database).

Cell: 12.2107 12.2107 12.2107 Å, 36.86 153.92 154.40°
Element x y z (fractional)
1 Sr 0.0163 0.1511 0.1674
2 Sr 0.0163 0.3489 0.3652
3 Sr 0.9837 0.6511 0.6348
4 Sr 0.9837 0.8489 0.8326
5 Ho 0.0013 0.0013 0.0000
6 Ho 0.0013 0.5013 0.5000
7 Ga 0.3944 0.7135 0.1809
8 Ga 0.5326 0.2135 0.8191
9 Cu 0.5010 0.5729 0.0703
10 Cu 0.5010 0.9307 0.4282
11 Cu 0.5025 0.0729 0.5718
12 Cu 0.5025 0.4307 0.9297
13 O 0.0019 0.1899 0.6906
14 O 0.0018 0.3150 0.8136
15 O 0.0018 0.6882 0.1868
16 O 0.0019 0.8114 0.3120
17 O 0.2256 0.8608 0.8648
18 O 0.4853 0.2056 0.6325
19 O 0.4853 0.3528 0.7797
20 O 0.4993 0.3114 0.3094
21 O 0.4993 0.6899 0.6880
22 O 0.5014 0.1882 0.1864
23 O 0.5014 0.8150 0.8132
24 O 0.5731 0.7056 0.2203
25 O 0.5731 0.8528 0.3675
26 O 0.9959 0.3608 0.1352

Output
Total DFT energy (no corrections), eV/atom: -6.27
Mass density, g/cm³: 6.2
Space group: Ima2

=====

Entry 9:
# InGaCuO4

InGaCuO4 after structural relaxation (PBE, the Materials Project database).

Cell: 8.5084 8.5084 8.5084 Å, 23.28 23.28 23.28°
Element x y z (fractional)
1 In 0.0000 0.0000 0.0000
2 Ga 0.2105 0.2105 0.2105
3 Cu 0.7855 0.7855 0.7855
4 O 0.1312 0.1312 0.1312
5 O 0.2881 0.2881 0.2881
6 O 0.7057 0.7057 0.7057
7 O 0.8719 0.8719 0.8719

Output
Total DFT energy (no corrections), eV/atom: -5.57
Mass density, g/cm³: 6.1
Space group: R3m

=====

Entry 10:
# InGaCu2Se4

InGaCu2Se4 after structural relaxation (PBE, the Materials Project database).

Cell: 7.0318 7.0318 7.0318 Å, 131.59 131.59 70.87°
Element x y z (fractional)
1 In 0.0000 0.0000 0.0000
2 Ga 0.2500 0.7500 0.5000
3 Cu 0.5000 0.5000 0.0000
4 Cu 0.7500 0.2500 0.5000
5 Se 0.1334 0.1364 0.5325
6 Se 0.3991 0.8666 0.0030
7 Se 0.6039 0.6009 0.4675
8 Se 0.8636 0.3961 0.9970

Output
Total DFT energy (no corrections), eV/atom: -3.95
Mass density, g/cm³: 5.5
Space group: I-4

=====

Entry 11:
# InGaCu2Te4

InGaCu2Te4 after structural relaxation (PBE, the Materials Project database).

Cell: 7.5356 7.5356 7.5356 Å, 131.67 131.67 70.75°
Element x y z (fractional)
1 In 0.0000 0.0000 0.0000
2 Ga 0.2500 0.7500 0.5000
3 Cu 0.5000 0.5000 0.0000
4 Cu 0.7500 0.2500 0.5000
5 Te 0.1324 0.1425 0.5350
6 Te 0.4025 0.8676 0.0101
7 Te 0.6075 0.5975 0.4650
8 Te 0.8575 0.3925 0.9899

Output
Total DFT energy (no corrections), eV/atom: -3.59
Mass density, g/cm³: 5.8
Space group: I-4

=====

- Which formula does entry 11 have?
  InGaCu2Te4

=====

- Among the records above, which one has the lowest mass density?
  InGaCu2Se4